[1]
Below is a relaxed structure of CdI2, with properties calculated at the PBE-GGA level.

Space-group type = P3m1 (156)
Formation energy from the elements = -81.0 kJ per mole of atoms

Lattice parameters (Å, degrees): 4.3391 4.3391 79.4655 90.00 90.00 120.00
Positions (direct):
Cd  0.0000  0.0000  0.5250
Cd  0.0000  0.0000  0.3250
Cd  0.0000  0.0000  0.0250
Cd  0.0000  0.0000  0.2250
Cd  0.0000  0.0000  0.6251
Cd  0.0000  0.0000  0.4250
Cd  0.3333  0.6667  0.7249
Cd  0.3333  0.6667  0.8249
Cd  0.0000  0.0000  0.1250
Cd  0.0000  0.0000  0.9250
I  0.3333  0.6667  0.1034
I  0.6667  0.3333  0.4466
I  0.6667  0.3333  0.3466
I  0.3333  0.6667  0.3034
I  0.6667  0.3333  0.9466
I  0.3333  0.6667  0.6034
I  0.0000  0.0000  0.7033
I  0.3333  0.6667  0.4034
I  0.3333  0.6667  0.2034
I  0.0000  0.0000  0.8034
I  0.3333  0.6667  0.9034
I  0.6667  0.3333  0.0466
I  0.3333  0.6667  0.0034
I  0.6667  0.3333  0.5466
I  0.6667  0.3333  0.8465
I  0.6667  0.3333  0.2466
I  0.3333  0.6667  0.5034
I  0.6667  0.3333  0.1467
I  0.6667  0.3333  0.6467
I  0.6667  0.3333  0.7465



[2]
Below is a relaxed structure of CdI2, with properties calculated at the PBE-GGA level.

Total magnetic moment = 0.00 Bohr magnetons per cell
Space-group type = R-3m (166)
Formation energy from the elements = -80.8 kJ per mole of atoms

Lattice parameters (Å, degrees): 4.3323 4.3323 22.1703 84.39 84.39 60.00
Positions (direct):
Cd  0.5556  0.5556  0.3334
Cd  0.0000  0.0000  0.0000
Cd  0.4444  0.4444  0.6666
I  0.6405  0.6405  0.0784
I  0.3595  0.3595  0.9216
I  0.8627  0.8627  0.4118
I  0.1373  0.1373  0.5882
I  0.7516  0.7516  0.7451
I  0.2484  0.2484  0.2549



[3]
Below is a relaxed structure of CdI2, with properties calculated at the PBE-GGA level.

Total magnetic moment = 0.00 Bohr magnetons per cell
Space-group type = P3m1 (156)
Formation energy from the elements = -80.9 kJ per mole of atoms

Lattice parameters (Å, degrees): 4.3345 4.3345 90.3839 90.00 90.00 120.00
Positions (direct):
Cd  0.0000  0.0000  0.2708
Cd  0.0000  0.0000  0.9375
Cd  0.6667  0.3333  0.0209
Cd  0.0000  0.0000  0.4375
Cd  0.6667  0.3333  0.7708
Cd  0.0000  0.0000  0.1042
Cd  0.6667  0.3333  0.3542
Cd  0.0000  0.0000  0.6041
Cd  0.6667  0.3333  0.1875
Cd  0.0000  0.0000  0.8542
Cd  0.6667  0.3333  0.5209
Cd  0.0000  0.0000  0.6875
I  0.0000  0.0000  0.1685
I  0.6667  0.3333  0.5851
I  0.3333  0.6667  0.7899
I  0.6667  0.3333  0.0851
I  0.3333  0.6667  0.4565
I  0.3333  0.6667  0.2066
I  0.3333  0.6667  0.9565
I  0.6667  0.3333  0.8351
I  0.6667  0.3333  0.9184
I  0.3333  0.6667  0.5399
I  0.3333  0.6667  0.1232
I  0.3333  0.6667  0.0399
I  0.0000  0.0000  0.7517
I  0.3333  0.6667  0.2899
I  0.3333  0.6667  0.3733
I  0.0000  0.0000  0.3351
I  0.3333  0.6667  0.6232
I  0.6667  0.3333  0.4184
I  0.3333  0.6667  0.7066
I  0.0000  0.0000  0.0018
I  0.6667  0.3333  0.6684
I  0.6667  0.3333  0.2517
I  0.3333  0.6667  0.8732
I  0.0000  0.0000  0.5018



[4]
Below is a relaxed structure of CdI2, with properties calculated at the PBE-GGA level.

Total magnetic moment = 0.00 Bohr magnetons per cell
Space-group type = P3m1 (156)
Formation energy from the elements = -80.8 kJ per mole of atoms

Lattice parameters (Å, degrees): 4.3417 4.3417 103.1584 90.00 90.00 120.00
Positions (direct):
Cd  0.0000  0.0000  0.5178
Cd  0.6667  0.3333  0.3036
Cd  0.6667  0.3333  0.9464
Cd  0.6667  0.3333  0.1607
Cd  0.0000  0.0000  0.2321
Cd  0.0000  0.0000  0.6607
Cd  0.6667  0.3333  0.7321
Cd  0.6667  0.3333  0.0179
Cd  0.6667  0.3333  0.8036
Cd  0.6667  0.3333  0.5893
Cd  0.6667  0.3333  0.4464
Cd  0.0000  0.0000  0.0893
Cd  0.0000  0.0000  0.3750
Cd  0.0000  0.0000  0.8750
I  0.6667  0.3333  0.0725
I  0.0000  0.0000  0.9297
I  0.3333  0.6667  0.5346
I  0.3333  0.6667  0.1775
I  0.3333  0.6667  0.1060
I  0.3333  0.6667  0.4632
I  0.0000  0.0000  0.7154
I  0.0000  0.0000  0.2868
I  0.6667  0.3333  0.6440
I  0.0000  0.0000  0.7868
I  0.3333  0.6667  0.3203
I  0.3333  0.6667  0.6060
I  0.0000  0.0000  0.1440
I  0.3333  0.6667  0.8203
I  0.3333  0.6667  0.9632
I  0.0000  0.0000  0.0011
I  0.6667  0.3333  0.8583
I  0.3333  0.6667  0.6775
I  0.6667  0.3333  0.2154
I  0.3333  0.6667  0.0346
I  0.3333  0.6667  0.8917
I  0.3333  0.6667  0.2489
I  0.6667  0.3333  0.3583
I  0.3333  0.6667  0.3917
I  0.6667  0.3333  0.5011
I  0.0000  0.0000  0.5725
I  0.0000  0.0000  0.4297
I  0.3333  0.6667  0.7489